[1]
Tb3TaO7 PBE optimized geometry; spin magnetization = 0.00 μB per cell; space-group type = Cmcm (63); E_form = -370 kJ/mol of atoms
1.0
3.7076 -5.3324 0.0000
3.7076 5.3324 0.0000
0.0000 0.0000 7.5569
O Ta Tb
14 2 6
direct
0.5634 0.8212 0.0341
0.4243 0.4243 0.2500
0.8870 0.1519 0.2500
0.4366 0.1788 0.9659
0.8212 0.5634 0.4659
0.5757 0.5757 0.7500
0.1788 0.4366 0.5341
0.1519 0.8870 0.2500
0.1788 0.4366 0.9659
0.8212 0.5634 0.0341
0.4366 0.1788 0.5341
0.1130 0.8481 0.7500
0.5634 0.8212 0.4659
0.8481 0.1130 0.7500
0.5000 0.5000 0.5000
0.5000 0.5000 0.0000
0.9448 0.4848 0.7500
0.0000 0.0000 0.0000
0.0000 0.0000 0.5000
0.5152 0.0552 0.2500
0.4848 0.9448 0.7500
0.0552 0.5152 0.2500

***

[2]
Tb3TaO7 PBE optimized geometry; space-group type = C222_1 (20); E_form = -372 kJ/mol of atoms
1.0
3.7719 -5.3007 0.0000
3.7719 5.3007 0.0000
0.0000 0.0000 7.5250
Tb Ta O
6 2 14
direct
0.0002 0.5350 0.2454
0.5350 0.0002 0.7546
0.9998 0.4650 0.7454
0.4650 0.9998 0.2546
0.4734 0.4734 0.0000
0.5266 0.5266 0.5000
0.0025 0.0025 0.5000
0.9975 0.9975 0.0000
0.3126 0.0582 0.5381
0.9197 0.6748 0.5277
0.3252 0.0803 0.9723
0.0803 0.3252 0.0277
0.0662 0.9338 0.2500
0.9418 0.6874 0.9619
0.0582 0.3126 0.4619
0.6294 0.3706 0.2500
0.3620 0.6380 0.2500
0.6748 0.9197 0.4723
0.6874 0.9418 0.0381
0.9338 0.0662 0.7500
0.3706 0.6294 0.7500
0.6380 0.3620 0.7500

***

[3]
TbTa3O9 PBE optimized geometry; spin magnetization = 0.00 μB per cell; space-group type = C2 (5); E_form = -335 kJ/mol of atoms
1.0
2.7815 8.3646 0.0000
-2.7815 8.3646 0.0000
0.0000 5.5735 7.9252
Tb O Ta
2 18 6
direct
0.3160 0.3269 0.5050
0.6731 0.6840 0.4950
0.8318 0.8163 0.4999
0.0971 0.5727 0.7263
0.0816 0.5681 0.2812
0.9045 0.4272 0.2736
0.5785 0.0683 0.2809
0.2732 0.7507 0.7269
0.4319 0.9184 0.7188
0.4273 0.9029 0.2737
0.1837 0.1682 0.5001
0.6658 0.6621 0.0039
0.9317 0.4215 0.7191
0.5031 0.4969 0.5000
0.7521 0.2744 0.7264
0.2493 0.7268 0.2731
0.3379 0.3342 0.9961
0.5728 0.0955 0.7264
0.0022 0.9978 0.0000
0.7256 0.2479 0.2736
0.7475 0.7481 0.7643
0.5825 0.5816 0.2539
0.4184 0.4175 0.7461
0.2519 0.2525 0.2357
0.0746 0.0750 0.7570
0.9250 0.9254 0.2430